First-principles (PBE-GGA) data for an optimized crystal structure of In10Pb6S21, as listed in the Materials Project.

## Properties
Total magnetic moment ... 0.00 μB/f.u.
Relative energy among the computed polymorphs ... 0 meV/atom
V ... 23.47 A^3/atom
Energy of formation from the pure elements ... -0.8169 eV per atom

a b c (Å): 3.8962 14.1451 15.9734
angles (deg): 84.71 90.00 82.11
Fractional positions:
In (0.0176, 0.4743, 0.1295)
In (0.1888, 0.1237, 0.4838)
In (0.2312, 0.0288, 0.8935)
In (0.2890, 0.9295, 0.3082)
In (0.4045, 0.6991, 0.0189)
In (0.5955, 0.3009, 0.9811)
In (0.7110, 0.0705, 0.6918)
In (0.7688, 0.9712, 0.1065)
In (0.8112, 0.8763, 0.5162)
In (0.9824, 0.5257, 0.8705)
Pb (0.3576, 0.7739, 0.7588)
Pb (0.4351, 0.6473, 0.2943)
Pb (0.4549, 0.5993, 0.5690)
Pb (0.5451, 0.4007, 0.4310)
Pb (0.5649, 0.3527, 0.7057)
Pb (0.6424, 0.2261, 0.2412)
S (0.0299, 0.4312, 0.5932)
S (0.0832, 0.3412, 0.8743)
S (0.1045, 0.2969, 0.0956)
S (0.1195, 0.2631, 0.3671)
S (0.1699, 0.1544, 0.7616)
S (0.2234, 0.0626, 0.1881)
S (0.2698, 0.9730, 0.5988)
S (0.3058, 0.8919, 0.0245)
S (0.3473, 0.8004, 0.4349)
S (0.4696, 0.5522, 0.7640)
S (0.5000, 0.5000, 0.0000)
S (0.5304, 0.4478, 0.2360)
S (0.6527, 0.1996, 0.5651)
S (0.6942, 0.1081, 0.9755)
S (0.7302, 0.0270, 0.4012)
S (0.7766, 0.9374, 0.8119)
S (0.8301, 0.8456, 0.2384)
S (0.8805, 0.7369, 0.6329)
S (0.8955, 0.7031, 0.9044)
S (0.9168, 0.6588, 0.1257)
S (0.9701, 0.5688, 0.4068)